Compound: RbHF2
Source: the Materials Project database
Functional: r2SCAN
Structure: optimized geometry

Geometry as extended XYZ:
```
8
Lattice="-2.927 2.905 3.591 2.927 -2.905 3.591 2.927 2.905 -3.591" Properties=species:S:1:pos:R:3 pbc="T T T"
Rb 0.000 0.651 0.000
Rb 0.000 0.651 3.591
H 2.938 0.646 1.795
H -0.011 3.551 1.795
F -0.825 2.751 1.795
F 3.752 -0.154 1.795
F 2.122 1.442 1.795
F 0.805 4.347 1.795
```

Results
* E_form: -2.395 eV per atom
* electronic total energy: -33.22 eV per formula unit
* crystal system: orthorhombic

---

Compound: SiO2
Source: the Materials Project database
Functional: r2SCAN
Structure: optimized geometry

Geometry as extended XYZ:
```
36
Lattice="-2.045 2.541 -3.840 -6.710 -8.654 -2.153 -5.996 6.060 7.203" Properties=species:S:1:pos:R:3 pbc="T T T"
Si -10.192 -4.818 -1.058
Si -5.577 6.029 0.356
Si -4.967 -3.751 -3.134
Si -10.801 4.962 2.433
Si -10.863 -0.221 -0.393
Si -4.552 0.994 0.355
Si -5.643 0.844 -2.468
Si -9.772 -0.072 2.430
Si -7.306 -3.634 -1.073
Si -8.006 4.278 1.230
Si -8.256 -0.835 -2.026
Si -7.059 1.483 2.176
O -3.810 2.416 0.425
O -11.900 -1.277 -1.016
O -10.704 1.008 3.165
O -5.005 0.130 -3.756
O -9.511 -0.177 -1.271
O -6.020 1.093 1.016
O -7.142 0.307 -2.213
O -8.389 0.610 1.957
O -6.667 -3.943 0.375
O -7.412 3.055 2.097
O -8.627 -4.526 -1.264
O -6.873 5.404 1.067
O -6.420 1.171 3.625
O -7.660 -2.058 -1.156
O -9.656 2.646 4.954
O -5.272 -2.480 -4.077
O -3.882 3.825 2.660
O -11.046 -3.658 -1.782
O -9.475 -1.288 3.445
O -4.716 0.540 -1.185
O -3.663 -0.102 1.135
O -10.528 -0.647 1.125
O -9.252 4.918 2.013
O -6.248 -4.040 -2.209
```

Results
* E_form: -3.026 eV per atom
* electronic total energy: -29.80 eV per formula unit
* crystal system: orthorhombic

---

Compound: Nb2AlC
Source: the Materials Project database
Functional: r2SCAN
Structure: optimized geometry

Geometry as extended XYZ:
```
8
Lattice="3.123 0.000 0.000 -1.561 2.704 0.000 0.000 0.000 13.938" Properties=species:S:1:pos:R:3 pbc="T T T"
Nb 0.000 1.803 1.251
Nb 1.561 0.901 8.220
Nb 1.561 0.901 12.687
Nb 0.000 1.803 5.718
Al 0.000 1.803 10.454
Al 1.561 0.901 3.485
C 0.000 0.000 0.000
C 0.000 0.000 6.969
```

Results
* E_form: -0.557 eV per atom
* electronic total energy: -68.37 eV per formula unit
* crystal system: hexagonal

---

Compound: Na5InO4
Source: the Materials Project database
Functional: r2SCAN
Structure: optimized geometry

Geometry as extended XYZ:
```
20
Lattice="5.444 0.000 0.000 0.000 7.356 0.000 0.000 0.000 7.557" Properties=species:S:1:pos:R:3 pbc="T T T"
Na 1.392 5.446 5.250
Na 4.053 1.768 6.086
Na 4.375 0.000 3.778
Na 1.069 3.678 0.000
Na 1.392 1.909 5.250
Na 1.392 5.446 2.307
Na 4.053 5.587 6.086
Na 4.053 1.768 1.471
Na 4.053 5.587 1.471
Na 1.392 1.909 2.307
In 1.203 0.000 0.000
In 4.241 3.678 3.778
O 0.092 0.000 1.770
O 0.092 0.000 5.787
O 2.300 5.598 0.000
O 2.300 1.758 0.000
O 3.145 1.920 3.778
O 3.145 5.436 3.778
O 5.352 3.678 2.008
O 5.352 3.678 5.549
```

Results
* ΔE to the lowest computed polymorph: 0.7 kJ per mole of atoms
* E_form: -1.587 eV per atom
* electronic total energy: -80.16 eV per formula unit
* crystal system: orthorhombic

---

Compound: Pr2B5
Source: the Materials Project database
Functional: r2SCAN
Structure: optimized geometry

Geometry as extended XYZ:
```
28
Lattice="6.618 0.000 -3.177 -1.081 6.941 -2.252 0.011 -0.016 8.505" Properties=species:S:1:pos:R:3 pbc="T T T"
Pr 4.577 5.396 2.141
Pr -0.418 5.000 0.216
Pr 0.970 1.530 0.935
Pr 5.966 1.925 2.860
Pr 1.074 6.287 3.471
Pr 2.971 4.109 -1.060
Pr 4.473 0.638 -0.395
Pr 2.577 2.816 4.135
B 0.993 5.884 -2.081
B 0.634 4.512 5.653
B 4.554 1.041 5.157
B 4.913 2.413 -2.577
B 0.525 0.642 3.751
B 3.490 2.812 1.446
B 5.022 6.283 -0.675
B 2.058 4.113 1.630
B 3.390 1.169 2.139
B -0.078 2.286 3.396
B 2.158 5.756 0.937
B 5.626 4.640 -0.320
B 3.404 6.653 -0.043
B 0.552 3.743 2.497
B 2.143 0.272 3.119
B 4.995 3.182 0.579
B 3.844 0.425 3.759
B 5.560 3.029 -1.148
B 1.704 6.500 -0.683
B -0.012 3.896 4.224
```

Results
* E_form: -0.547 eV per atom
* electronic total energy: -99.37 eV per formula unit
* crystal system: monoclinic

---

Compound: CuI2O6
Source: the Materials Project database
Functional: r2SCAN
Structure: optimized geometry

Geometry as extended XYZ:
```
18
Lattice="-3.081 -3.087 -2.399 0.799 -4.314 4.525 -6.164 3.317 4.252" Properties=species:S:1:pos:R:3 pbc="T T T"
Cu -4.223 -2.042 3.189
Cu -4.622 0.115 0.926
I -1.994 -4.348 2.791
I -1.377 -0.402 2.055
I -7.069 -3.681 4.323
I -6.451 0.265 3.586
O -5.765 -4.158 5.544
O -2.680 0.075 0.834
O -4.750 -0.155 2.886
O -3.696 -3.929 3.491
O -4.736 -2.238 0.897
O -5.968 0.209 5.330
O -2.333 -1.798 2.798
O -6.311 2.059 3.390
O -2.477 -4.292 1.047
O -2.135 -6.142 2.987
O -6.112 -2.285 3.579
O -3.710 -1.846 5.480
```

Results
* ΔE to the lowest computed polymorph: 0.0 kJ per mole of atoms
* E_form: -0.447 eV per atom
* electronic total energy: -99.83 eV per formula unit
* crystal system: monoclinic

---

Compound: Na5GdMo4O16
Source: the Materials Project database
Functional: r2SCAN
Structure: optimized geometry

Geometry as extended XYZ:
```
52
Lattice="-5.699 5.699 5.668 5.699 -5.699 5.668 5.699 5.699 -5.668" Properties=species:S:1:pos:R:3 pbc="T T T"
Na 3.365 7.084 -2.467
Na 2.335 4.314 5.301
Na 5.699 0.000 2.834
Na 4.314 3.365 2.467
Na 1.385 8.034 0.367
Na 2.335 -1.385 3.202
Na 4.314 -2.335 6.036
Na 3.365 1.385 -0.367
Na 1.385 2.335 8.135
Na 0.000 0.000 0.000
Gd 0.000 0.000 5.668
Gd 0.000 5.699 2.834
Mo 1.078 2.065 2.675
Mo 2.065 -1.078 8.661
Mo -1.078 3.635 5.827
Mo 3.635 6.777 2.993
Mo 6.777 2.065 0.159
Mo 4.622 3.635 -2.993
Mo 2.065 4.622 -0.159
Mo 3.635 1.078 5.510
O 2.460 2.053 1.615
O 1.305 6.387 4.721
O 0.340 4.014 6.809
O 6.659 3.633 -0.719
O 4.014 -0.340 4.528
O -0.340 1.685 1.694
O 2.066 0.959 6.387
O -2.460 3.646 6.887
O 4.395 5.012 -1.887
O -0.959 2.066 4.949
O 3.633 4.740 0.719
O 2.066 6.659 2.115
O -0.959 7.766 3.553
O 0.959 3.633 3.553
O -0.688 7.004 0.947
O 4.014 5.360 3.974
O 3.646 2.460 4.449
O 0.688 4.395 0.947
O -0.688 1.305 7.555
O 1.305 0.688 3.781
O 1.685 6.039 -1.140
O 2.053 3.239 -1.219
O 1.685 0.340 9.643
O 6.387 4.395 1.887
O 6.039 4.014 -3.974
O 3.646 -3.239 4.053
O -2.066 4.740 2.115
O 8.160 2.053 1.219
O 3.239 3.646 7.283
O 2.053 8.938 -1.615
O 5.360 1.685 1.140
O -1.305 5.012 4.721
```

Results
* E_form: -2.439 eV per atom
* electronic total energy: -324.48 eV per formula unit
* crystal system: tetragonal

---

Compound: TmScHg2
Source: the Materials Project database
Functional: r2SCAN
Structure: optimized geometry

Geometry as extended XYZ:
```
4
Lattice="2.889 -0.204 4.146 -2.028 0.885 4.546 -0.553 -3.798 3.281" Properties=species:S:1:pos:R:3 pbc="T T T"
Tm 0.231 -2.337 8.979
Sc 0.077 -0.779 2.993
Hg 2.887 -0.205 4.147
Hg 0.156 -1.557 5.985
```

Results
* E_form: -0.520 eV per atom
* electronic total energy: -147.33 eV per formula unit
* crystal system: orthorhombic

---

Compound: EuAl2O4
Source: the Materials Project database
Functional: r2SCAN
Structure: optimized geometry

Geometry as extended XYZ:
```
28
Lattice="-0.519 -8.261 2.949 0.138 -1.741 -4.854 8.397 -0.558 -0.085" Properties=species:S:1:pos:R:3 pbc="T T T"
Eu 4.062 -4.855 0.203
Eu 3.695 -9.834 -0.719
Eu 7.931 -4.955 0.418
Eu -0.167 -9.617 -0.976
Al 6.731 -4.413 -2.536
Al 1.201 -7.470 1.018
Al 1.614 -4.162 -2.547
Al 6.311 -7.839 1.071
Al 2.389 -1.932 -0.598
Al 5.712 -7.270 -1.877
Al 2.457 -7.108 -1.949
Al 5.642 -2.123 -0.516
O 5.871 -6.710 -0.216
O 2.227 -2.532 -2.244
O 1.934 -7.925 -0.495
O 6.013 -3.727 -1.106
O 5.161 -9.147 1.199
O 2.606 -5.376 -1.775
O 6.043 -5.963 -3.003
O 1.731 -8.442 2.385
O 6.692 -8.657 -2.295
O 1.279 -2.625 0.562
O 6.711 -3.371 -3.954
O 1.393 -5.777 1.460
O 4.065 -7.765 -2.241
O 3.984 -2.265 0.062
O -0.034 -4.294 -1.963
O 7.911 -8.491 0.767
```

Results
* E_form: -3.322 eV per atom
* electronic total energy: -99.13 eV per formula unit
* crystal system: monoclinic

---

Compound: Re3Pd
Source: the Materials Project database
Functional: r2SCAN
Structure: optimized geometry

Geometry as extended XYZ:
```
8
Lattice="-1.642 4.038 -3.419 2.083 -4.701 -2.064 -4.055 -1.746 -0.115" Properties=species:S:1:pos:R:3 pbc="T T T"
Re -4.088 1.334 -3.289
Re -3.233 -0.770 -1.508
Re -3.003 -1.116 -4.365
Re 0.475 -3.742 -2.309
Re -0.381 -1.638 -4.091
Re -0.611 -1.293 -1.234
Pd -1.414 0.689 -2.996
Pd -2.200 -3.097 -2.602
```

Results
* E_form: -0.057 eV per atom
* electronic total energy: -180.42 eV per formula unit
* crystal system: hexagonal

---

Compound: CsFeI4
Source: the Materials Project database
Functional: r2SCAN
Structure: optimized geometry

Geometry as extended XYZ:
```
24
Lattice="18.610 0.000 0.000 0.000 7.378 -0.005 0.000 2.582 8.060" Properties=species:S:1:pos:R:3 pbc="T T T"
Cs 6.852 3.153 5.657
Cs 11.759 6.807 2.398
Cs 2.453 1.862 1.628
Cs 16.157 8.098 6.427
Fe 2.364 8.048 6.421
Fe 11.669 3.203 5.664
Fe 16.246 1.912 1.634
Fe 6.941 6.757 2.391
I 17.616 3.092 3.423
I 6.463 1.787 1.640
I 13.882 4.367 5.248
I 12.148 8.173 6.415
I 4.576 6.884 6.837
I 8.298 6.836 4.564
I 15.768 6.882 2.385
I 10.312 3.124 3.491
I 1.007 5.545 0.535
I 17.603 4.415 7.520
I 2.843 3.078 5.670
I 10.300 4.383 7.452
I 0.995 6.868 4.632
I 14.034 3.076 1.218
I 8.310 5.577 0.603
I 4.729 5.593 2.807
```

Results
* E_form: -0.884 eV per atom
* electronic total energy: -143.06 eV per formula unit
* crystal system: monoclinic

---

Compound: Yb2ZnAg
Source: the Materials Project database
Functional: r2SCAN
Structure: optimized geometry

Geometry as extended XYZ:
```
4
Lattice="0.000 3.512 3.512 3.512 0.000 3.512 3.512 3.512 0.000" Properties=species:S:1:pos:R:3 pbc="T T T"
Yb 1.756 1.756 1.756
Yb 5.268 5.268 5.268
Zn 0.000 0.000 0.000
Ag 3.512 3.512 3.512
```

Results
* E_form: -0.386 eV per atom
* electronic total energy: -104.87 eV per formula unit
* crystal system: cubic

---

Compound: Sm2PdRh
Source: the Materials Project database
Functional: r2SCAN
Structure: optimized geometry

Geometry as extended XYZ:
```
4
Lattice="2.406 0.636 4.308 3.184 3.786 0.536 -1.163 3.829 2.957" Properties=species:S:1:pos:R:3 pbc="T T T"
Sm 3.183 3.786 0.536
Sm 2.213 4.125 3.901
Pd 1.107 2.063 1.950
Rh 3.320 6.188 5.851
```

Results
* E_form: -0.808 eV per atom
* electronic total energy: -109.80 eV per formula unit
* crystal system: cubic

---

Compound: DyAl
Source: the Materials Project database
Functional: r2SCAN
Structure: optimized geometry

Geometry as extended XYZ:
```
16
Lattice="5.598 0.000 0.000 0.000 5.810 0.000 0.000 0.000 11.385" Properties=species:S:1:pos:R:3 pbc="T T T"
Dy 1.400 3.473 9.480
Dy 4.199 2.337 1.905
Dy 4.199 3.473 7.597
Dy 1.400 2.337 3.788
Dy 1.400 4.865 5.861
Dy 4.199 0.945 5.524
Dy 4.199 4.865 11.216
Dy 1.400 0.945 0.169
Al 2.799 5.414 2.846
Al 5.598 0.396 8.538
Al 2.799 0.396 8.538
Al 0.000 5.414 2.846
Al 1.400 1.959 6.816
Al 4.199 3.851 4.569
Al 4.199 1.959 10.261
Al 1.400 3.851 1.123
```

Results
* E_form: -0.482 eV per atom
* electronic total energy: -39.68 eV per formula unit
* crystal system: orthorhombic

---

Compound: Zr2SN2
Source: the Materials Project database
Functional: r2SCAN
Structure: optimized geometry

Geometry as extended XYZ:
```
10
Lattice="3.619 0.000 0.000 -1.810 3.134 0.000 0.000 0.000 12.868" Properties=species:S:1:pos:R:3 pbc="T T T"
Zr 0.000 2.090 7.749
Zr 1.810 1.045 1.315
Zr 1.810 1.045 5.118
Zr 0.000 2.090 11.552
S 0.000 0.000 3.217
S 0.000 0.000 9.651
N 1.810 1.045 7.306
N 0.000 2.090 0.872
N 0.000 2.090 5.562
N 1.810 1.045 11.996
```

Results
* E_form: -2.011 eV per atom
* electronic total energy: -81.85 eV per formula unit
* crystal system: hexagonal

---

Compound: Na3CuO2
Source: the Materials Project database
Functional: r2SCAN
Structure: optimized geometry

Geometry as extended XYZ:
```
24
Lattice="-3.947 -8.483 0.380 7.817 -3.467 3.815 -1.604 0.931 4.133" Properties=species:S:1:pos:R:3 pbc="T T T"
Na 4.269 -8.462 6.047
Na -0.866 -4.954 0.780
Na -2.216 -7.744 0.885
Na 0.563 -3.751 3.547
Na 1.828 -0.923 3.400
Na 3.476 -3.103 2.048
Na 0.394 -8.846 2.147
Na 0.438 -10.095 4.928
Na 1.702 -7.267 4.781
Na 6.086 -4.205 3.310
Na 4.736 -6.995 3.415
Na -2.004 -2.556 2.281
Cu 0.665 -2.052 0.720
Cu -0.887 -6.370 3.574
Cu 3.153 -4.647 4.754
Cu 3.205 -9.897 3.475
O -0.937 -2.688 0.242
O -1.369 -4.739 3.019
O 2.240 -1.333 1.170
O -0.324 -7.967 4.152
O 2.590 -3.051 4.176
O 1.630 -10.616 3.025
O 3.635 -6.278 5.309
O 4.807 -9.261 3.953
```

Results
* ΔE to the lowest computed polymorph: 0.0 kJ per mole of atoms
* E_form: -1.266 eV per atom
* electronic total energy: -41.08 eV per formula unit
* crystal system: tetragonal